1.
LiMn2S4 | the Materials Project | PBE | relaxed; calculated formation energy = -1.0258 eV per atom; offset from the most stable computed form = 0.000 eV/atom
1.0
0.000 4.933 4.933
4.933 0.000 4.933
4.933 4.933 0.000
Li Mn S
2 4 8
Direct
0.125 0.125 0.125
0.875 0.875 0.875
0.000 0.500 0.500
0.500 0.000 0.500
0.500 0.500 0.000
0.500 0.500 0.500
0.262 0.262 0.262
0.262 0.262 0.714
0.262 0.714 0.262
0.286 0.738 0.738
0.714 0.262 0.262
0.738 0.286 0.738
0.738 0.738 0.286
0.738 0.738 0.738

=====

2.
AgBi3PbS6 | the Materials Project | PBE | relaxed; calculated formation energy = -0.6003 eV per atom
1.0
2.060 -6.864 0.000
2.060 6.864 0.000
0.000 0.000 20.001
Ag Bi Pb S
2 6 2 12
Direct
0.061 0.939 0.500
0.939 0.061 0.000
0.100 0.900 0.281
0.356 0.644 0.585
0.370 0.630 0.184
0.630 0.370 0.684
0.644 0.356 0.085
0.900 0.100 0.781
0.177 0.823 0.897
0.823 0.177 0.397
0.016 0.984 0.633
0.175 0.825 0.400
0.261 0.739 0.050
0.262 0.738 0.735
0.444 0.556 0.472
0.464 0.536 0.303
0.536 0.464 0.803
0.556 0.444 0.972
0.738 0.262 0.235
0.739 0.261 0.550
0.825 0.175 0.900
0.984 0.016 0.133

=====

3.
NaTi2SiO9 | the Materials Project | PBE | relaxed; calculated formation energy = -2.1033 eV per atom
1.0
7.905 0.000 0.000
0.000 7.905 0.000
0.000 0.000 12.379
Na Ti Si O
4 8 4 36
Direct
0.000 0.500 0.000
0.000 0.500 0.500
0.500 0.000 0.000
0.500 0.000 0.500
0.149 0.149 0.147
0.149 0.149 0.853
0.149 0.851 0.353
0.149 0.851 0.647
0.851 0.149 0.353
0.851 0.149 0.647
0.851 0.851 0.147
0.851 0.851 0.853
0.000 0.500 0.250
0.000 0.500 0.750
0.500 0.000 0.250
0.500 0.000 0.750
0.100 0.100 0.332
0.100 0.100 0.668
0.100 0.900 0.168
0.100 0.900 0.832
0.116 0.382 0.171
0.116 0.382 0.829
0.116 0.618 0.329
0.116 0.618 0.671
0.152 0.152 0.000
0.152 0.848 0.500
0.242 0.242 0.500
0.242 0.758 0.000
0.382 0.116 0.171
0.382 0.116 0.829
0.382 0.884 0.329
0.382 0.884 0.671
0.500 0.500 0.050
0.500 0.500 0.450
0.500 0.500 0.550
0.500 0.500 0.950
0.618 0.116 0.329
0.618 0.116 0.671
0.618 0.884 0.171
0.618 0.884 0.829
0.758 0.242 0.000
0.758 0.758 0.500
0.848 0.152 0.500
0.848 0.848 0.000
0.884 0.382 0.329
0.884 0.382 0.671
0.884 0.618 0.171
0.884 0.618 0.829
0.900 0.100 0.168
0.900 0.100 0.832
0.900 0.900 0.332
0.900 0.900 0.668

=====

4.
LaMgTl | the Materials Project | PBE | relaxed; calculated formation energy = -0.1003 eV per atom
1.0
0.000 3.588 3.588
3.588 0.000 3.588
3.588 3.588 0.000
La Mg Tl
1 1 1
Direct
0.000 0.000 0.000
0.250 0.250 0.250
0.500 0.500 0.500

=====

5.
Y2IrPd | the Materials Project | PBE | relaxed; calculated formation energy = -0.8874 eV per atom
1.0
0.000 3.477 3.477
3.477 0.000 3.477
3.477 3.477 0.000
Y Ir Pd
2 1 1
Direct
0.250 0.250 0.250
0.750 0.750 0.750
0.000 0.000 0.000
0.500 0.500 0.500

=====

6.
Eu2Ga3Ir | the Materials Project | PBE | relaxed; calculated formation energy = -0.6242 eV per atom
1.0
5.691 0.000 0.000
-2.845 4.928 0.000
0.000 0.000 8.740
Eu Ga Ir
4 6 2
Direct
0.333 0.667 0.050
0.333 0.667 0.450
0.667 0.333 0.550
0.667 0.333 0.950
0.160 0.320 0.750
0.160 0.840 0.750
0.320 0.160 0.250
0.680 0.840 0.750
0.840 0.160 0.250
0.840 0.680 0.250
0.000 0.000 0.000
0.000 0.000 0.500

=====

7.
La5Ga3 | the Materials Project | PBE | relaxed; calculated formation energy = -0.4616 eV per atom
1.0
8.090 0.000 0.000
0.000 8.090 0.000
0.000 0.000 14.809
La Ga
20 12
Direct
0.066 0.589 0.102
0.066 0.911 0.602
0.089 0.566 0.398
0.089 0.934 0.898
0.250 0.250 0.219
0.250 0.250 0.719
0.411 0.566 0.898
0.411 0.934 0.398
0.434 0.589 0.602
0.434 0.911 0.102
0.566 0.089 0.898
0.566 0.411 0.398
0.589 0.066 0.602
0.589 0.434 0.102
0.750 0.750 0.281
0.750 0.750 0.781
0.911 0.066 0.102
0.911 0.434 0.602
0.934 0.089 0.398
0.934 0.411 0.898
0.133 0.633 0.750
0.133 0.867 0.250
0.250 0.250 0.005
0.250 0.250 0.505
0.367 0.633 0.250
0.367 0.867 0.750
0.633 0.133 0.250
0.633 0.367 0.750
0.750 0.750 0.495
0.750 0.750 0.995
0.867 0.133 0.750
0.867 0.367 0.250

=====

8.
MnH12C2N2Cl4 | the Materials Project | PBE | relaxed; calculated formation energy = -0.6266 eV per atom; offset from the most stable computed form = 0.011 eV/atom
1.0
3.679 -9.239 0.000
3.679 9.239 0.000
0.000 0.000 7.177
Mn H C N Cl
2 24 4 4 8
Direct
0.000 0.000 0.000
0.500 0.500 0.500
0.025 0.198 0.522
0.097 0.661 0.510
0.113 0.887 0.672
0.161 0.597 0.010
0.191 0.809 0.306
0.198 0.025 0.478
0.302 0.475 0.978
0.309 0.691 0.806
0.339 0.903 0.510
0.387 0.613 0.172
0.403 0.839 0.010
0.475 0.302 0.022
0.525 0.698 0.978
0.597 0.161 0.990
0.613 0.387 0.828
0.661 0.097 0.490
0.691 0.309 0.194
0.698 0.525 0.022
0.802 0.975 0.522
0.809 0.191 0.694
0.839 0.403 0.990
0.887 0.113 0.328
0.903 0.339 0.490
0.975 0.802 0.478
0.191 0.809 0.459
0.309 0.691 0.959
0.691 0.309 0.041
0.809 0.191 0.541
0.115 0.885 0.526
0.385 0.615 0.026
0.615 0.385 0.974
0.885 0.115 0.474
0.126 0.874 0.963
0.237 0.263 0.750
0.263 0.237 0.250
0.374 0.626 0.463
0.626 0.374 0.537
0.737 0.763 0.750
0.763 0.737 0.250
0.874 0.126 0.037

=====

9.
Si | the Materials Project | PBE | relaxed; calculated formation energy = 0.2224 eV per atom; offset from the most stable computed form = 0.222 eV/atom
1.0
-3.366 3.366 3.366
3.366 -3.366 3.366
3.366 3.366 -3.366
Si
6
Direct
0.250 0.500 0.750
0.250 0.750 0.500
0.500 0.250 0.750
0.500 0.750 0.250
0.750 0.250 0.500
0.750 0.500 0.250

=====

10.
GdInIr | the Materials Project | PBE | relaxed; calculated formation energy = -0.6950 eV per atom
1.0
7.549 0.000 0.000
-3.775 6.538 0.000
0.000 0.000 4.016
Gd In Ir
3 3 3
Direct
0.000 0.593 0.000
0.407 0.407 0.000
0.593 0.000 0.000
0.000 0.255 0.500
0.255 0.000 0.500
0.745 0.745 0.500
0.000 0.000 0.000
0.333 0.667 0.500
0.667 0.333 0.500

=====

11.
ScPIr | the Materials Project | PBE | relaxed; calculated formation energy = -1.1900 eV per atom
1.0
6.364 0.000 0.000
-3.182 5.511 0.000
0.000 0.000 3.951
Sc P Ir
3 3 3
Direct
0.000 0.419 0.000
0.419 0.000 0.000
0.581 0.581 0.000
0.000 0.000 0.000
0.333 0.667 0.500
0.667 0.333 0.500
0.000 0.750 0.500
0.250 0.250 0.500
0.750 0.000 0.500

=====

12.
NaH10C6N7O7 | the Materials Project | PBE | relaxed; calculated formation energy = -0.8126 eV per atom
1.0
7.019 0.000 0.000
-3.264 8.227 0.000
-0.683 -4.265 10.779
Na H C N O
2 20 12 14 14
Direct
0.040 0.313 0.448
0.960 0.687 0.552
0.176 0.997 0.492
0.190 0.167 0.753
0.206 0.121 0.873
0.225 0.493 0.724
0.248 0.417 0.944
0.261 0.634 0.382
0.284 0.200 0.160
0.324 0.999 0.595
0.366 0.657 0.512
0.387 0.442 0.655
0.613 0.558 0.345
0.634 0.343 0.488
0.676 0.001 0.405
0.716 0.800 0.840
0.739 0.366 0.618
0.752 0.583 0.056
0.775 0.507 0.276
0.794 0.879 0.127
0.810 0.833 0.247
0.824 0.003 0.508
0.201 0.803 0.859
0.250 0.666 0.991
0.260 0.952 0.071
0.297 0.532 0.138
0.304 0.813 0.218
0.320 0.096 0.295
0.680 0.904 0.705
0.696 0.187 0.782
0.703 0.468 0.862
0.740 0.048 0.929
0.750 0.334 0.009
0.799 0.197 0.141
0.216 0.659 0.878
0.229 0.953 0.959
0.264 0.531 0.017
0.271 0.810 0.094
0.286 0.090 0.173
0.311 0.674 0.235
0.330 0.954 0.313
0.670 0.046 0.687
0.689 0.326 0.765
0.714 0.910 0.827
0.729 0.190 0.906
0.736 0.469 0.983
0.771 0.047 0.041
0.784 0.341 0.122
0.166 0.799 0.752
0.182 0.989 0.574
0.196 0.210 0.843
0.229 0.608 0.458
0.237 0.407 0.649
0.310 0.402 0.151
0.340 0.230 0.382
0.660 0.770 0.618
0.690 0.598 0.849
0.763 0.593 0.351
0.771 0.392 0.542
0.804 0.790 0.157
0.818 0.011 0.426
0.834 0.201 0.248

=====

13.
CaY4Bi4O12 | the Materials Project | PBE | relaxed; calculated formation energy = -2.5568 eV per atom; offset from the most stable computed form = 0.094 eV/atom
1.0
6.504 0.000 0.000
0.000 8.386 0.000
-0.654 0.000 6.547
Ca Y Bi O
1 4 4 12
Direct
0.000 0.000 0.000
0.457 0.000 0.773
0.550 0.500 0.726
0.858 0.000 0.434
0.933 0.500 0.249
0.070 0.320 0.719
0.070 0.680 0.719
0.481 0.243 0.248
0.481 0.757 0.248
0.130 0.000 0.678
0.135 0.306 0.398
0.135 0.694 0.398
0.349 0.000 0.122
0.390 0.289 0.857
0.390 0.711 0.857
0.625 0.160 0.557
0.625 0.840 0.557
0.662 0.500 0.414
0.786 0.167 0.157
0.786 0.833 0.157
0.828 0.500 0.924

=====

14.
Lu2N3 | the Materials Project | PBE | relaxed; calculated formation energy = -0.7902 eV per atom
1.0
-5.305 5.305 5.305
5.305 -5.305 5.305
5.305 5.305 -5.305
Lu N
16 24
Direct
0.000 0.000 0.500
0.000 0.500 0.000
0.031 0.750 0.781
0.219 0.969 0.250
0.250 0.219 0.969
0.250 0.719 0.469
0.281 0.531 0.750
0.469 0.250 0.719
0.500 0.000 0.000
0.500 0.500 0.500
0.531 0.750 0.281
0.719 0.469 0.250
0.750 0.281 0.531
0.750 0.781 0.031
0.781 0.031 0.750
0.969 0.250 0.219
0.008 0.039 0.269
0.031 0.492 0.761
0.039 0.269 0.008
0.230 0.461 0.469
0.231 0.270 0.739
0.239 0.969 0.508
0.261 0.769 0.730
0.269 0.008 0.039
0.270 0.739 0.231
0.461 0.469 0.230
0.469 0.230 0.461
0.492 0.761 0.031
0.508 0.239 0.969
0.531 0.770 0.539
0.539 0.531 0.770
0.730 0.261 0.769
0.731 0.992 0.961
0.739 0.231 0.270
0.761 0.031 0.492
0.769 0.730 0.261
0.770 0.539 0.531
0.961 0.731 0.992
0.969 0.508 0.239
0.992 0.961 0.731